VASP calculation (PBE-GGA) on a relaxed structure of TlBr4N.

Output
spin magnetization	0.00	μB per cell
volume	1011.3	Å³/cell
crystal system	orthorhombic
VASP energy	-2.57	eV/atom
energy of formation from the pure elements	0.242	eV per atom

Lattice parameters (Å, degrees): 7.4101 10.3002 13.2504 90.00 90.00 90.00
Space group Pnna (No. 52)
Asymmetric unit:
Tl 0.2500 0.0000 0.1443
Br 0.0000 0.1130 0.3004
Br 0.0714 0.6938 0.4355
N 0.1427 0.7500 0.7500

VASP calculation (PBE-GGA) on a relaxed structure of VBr5N3.

Output
E above lowest polymorph	0.00	kcal/mol of atoms
spin magnetization	12.01	μB per cell
volume	1145.9	Å³/cell
crystal system	orthorhombic
VASP energy	-4.02	eV/atom
energy of formation from the pure elements	0.561	eV per atom

Lattice parameters (Å, degrees): 11.3686 12.3936 8.1331 90.00 90.00 90.00
Space group Pnma (No. 62)
Asymmetric unit:
V 0.0945 0.2500 0.1560
Br 0.0441 0.2500 0.4427
Br 0.1394 0.0295 0.1894
Br 0.2004 0.7500 0.9441
Br 0.2201 0.2500 0.9251
N 0.0398 0.7500 0.9216
N 0.2048 0.5091 0.6841

VASP calculation (PBE-GGA) on a relaxed structure of VBr5N3.

Output
E above lowest polymorph	11.83	kcal/mol of atoms
spin magnetization	20.96	μB per cell
volume	976.2	Å³/cell
crystal system	orthorhombic
VASP energy	-3.50	eV/atom
energy of formation from the pure elements	1.074	eV per atom

Lattice parameters (Å, degrees): 13.5960 10.4019 6.9027 90.00 90.00 90.00
Space group Pnma (No. 62)
Asymmetric unit:
V 0.0896 0.2500 0.1491
Br 0.0055 0.2500 0.4607
Br 0.1079 0.0162 0.1839
Br 0.2257 0.2500 0.9207
Br 0.2397 0.7500 0.9071
N 0.0064 0.7500 0.9890
N 0.1457 0.5010 0.6511

VASP calculation (PBE-GGA) on a relaxed structure of NaBr.

Output
volume	219.0	Å³/cell
crystal system	cubic
VASP energy	-3.06	eV/atom
energy of formation from the pure elements	-1.845	eV per atom

Lattice parameters (Å, degrees): 6.0276 6.0276 6.0276 90.00 90.00 90.00
Space group Fm-3m (No. 225)
Asymmetric unit:
Na 0.0000 0.0000 0.0000
Br 0.0000 0.0000 0.5000

VASP calculation (PBE-GGA) on a relaxed structure of Rb2NaNdBr6.

Output
spin magnetization	0.00	μB per cell
volume	1553.3	Å³/cell
crystal system	cubic
VASP energy	-3.57	eV/atom
energy of formation from the pure elements	-2.108	eV per atom

Lattice parameters (Å, degrees): 11.5812 11.5812 11.5812 90.00 90.00 90.00
Space group Fm-3m (No. 225)
Asymmetric unit:
Rb 0.2500 0.2500 0.2500
Na 0.0000 0.0000 0.0000
Nd 0.0000 0.0000 0.5000
Br 0.0000 0.0000 0.2514

VASP calculation (PBE-GGA) on a relaxed structure of NaBrO3.

Output
spin magnetization	8.00	μB per cell
volume	431.5	Å³/cell
crystal system	triclinic
VASP energy	-3.97	eV/atom
energy of formation from the pure elements	-0.504	eV per atom

Lattice parameters (Å, degrees): 7.3874 7.5368 7.7493 89.81 89.95 89.70
Space group P1 (No. 1)
Asymmetric unit:
Na 0.0000 0.0000 0.0000
Na 0.2041 0.5005 0.5784
Na 0.4982 0.2413 0.0790
Na 0.7034 0.7406 0.5008
Br 0.2209 0.0049 0.3930
Br 0.4827 0.7373 0.8916
Br 0.7187 0.2381 0.6869
Br 0.9821 0.5072 0.1857
O 0.0905 0.7713 0.7451
O 0.1149 0.2669 0.8301
O 0.2366 0.0906 0.1777
O 0.2615 0.3443 0.8694
O 0.4407 0.3971 0.3684
O 0.4637 0.6528 0.6766
O 0.5904 0.4718 0.3341
O 0.6085 0.9648 0.2393
O 0.7386 0.1539 0.9026
O 0.7664 0.9021 0.2144
O 0.9394 0.8445 0.7100
O 0.9646 0.5888 0.4019

VASP calculation (PBE-GGA) on a relaxed structure of NaBrO3.

Output
volume	317.2	Å³/cell
crystal system	cubic
largest piezoelectric modulus	0.02	C/m2
VASP energy	-4.15	eV/atom
energy of formation from the pure elements	-1.003	eV per atom

Lattice parameters (Å, degrees): 6.8200 6.8200 6.8200 90.00 90.00 90.00
Space group P2_13 (No. 198)
Asymmetric unit:
Na 0.0785 0.0785 0.0785
Br 0.0957 0.5957 0.9043
O 0.0018 0.2147 0.4013

VASP calculation (PBE-GGA) on a relaxed structure of NaBrO3.

Output
spin magnetization	5.02	μB per cell
volume	437.2	Å³/cell
crystal system	triclinic
VASP energy	-3.86	eV/atom
energy of formation from the pure elements	-0.303	eV per atom

Lattice parameters (Å, degrees): 7.1242 7.6858 8.1662 87.44 85.89 78.74
Space group P1 (No. 1)
Asymmetric unit:
Na 0.0000 0.0000 0.0000
Na 0.0123 0.6389 0.4770
Na 0.5316 0.2143 0.4981
Na 0.5461 0.6193 0.9389
Br 0.2002 0.4871 0.1295
Br 0.3423 0.7859 0.6386
Br 0.6754 0.2448 0.8341
Br 0.8283 0.9644 0.3342
O 0.0201 0.3026 0.5456
O 0.0390 0.1557 0.6640
O 0.1888 0.1658 0.5175
O 0.2708 0.4582 0.3377
O 0.2813 0.8287 0.8525
O 0.3176 0.0441 0.1755
O 0.4688 0.9587 0.1123
O 0.5904 0.5974 0.3145
O 0.6917 0.4906 0.4062
O 0.8115 0.6217 0.7265
O 0.8314 0.7585 0.9608
O 0.9160 0.7040 0.8159

Q: Among the records above, which one has the lowest volume?
A: NaBr